(1)
# SmEu2NbO6

A geometry-optimized SmEu2NbO6 structure (PBE, the Materials Project).

a b c (Å): 8.5404 8.5404 8.5404
angles (deg): 90.00 90.00 90.00
With the nearest neighbours (Å) after each atom.
Space group Fm-3m (No. 225)
Inequivalent atoms, fractional coordinates:
Sm1 0.0000 0.0000 0.0000 (multiplicity 4)  6 O 2.26
Eu1 0.2500 0.2500 0.2500 (multiplicity 8)  12 O 3.02
Nb1 0.0000 0.0000 0.5000 (multiplicity 4)  6 O 2.01
O1 0.0000 0.0000 0.2648 (multiplicity 24)  1 Nb 2.01

Calculated values
Corrected total energy (MP2020 scheme), eV per cell: -390.86
VASP energy, Ry per atom: -0.68790
Calculated formation energy, kJ/mol of atoms: -315

(2)
# SrSmEuNbO6

A geometry-optimized SrSmEuNbO6 structure (PBE, the Materials Project).

a b c (Å): 8.5451 8.5451 8.5451
angles (deg): 90.00 90.00 90.00
With the nearest neighbours (Å) after each atom.
Space group F-43m (No. 216)
Inequivalent atoms, fractional coordinates:
Sr1 0.0000 0.0000 0.0000 (multiplicity 4)  12 O 3.02
Sm1 0.2500 0.2500 0.7500 (multiplicity 4)  6 O 2.27
Eu1 0.0000 0.0000 0.5000 (multiplicity 4)  12 O 3.02
Nb1 0.2500 0.2500 0.2500 (multiplicity 4)  6 O 2.01
O1 0.0151 0.2500 0.2500 (multiplicity 24)  1 Nb 2.01

Calculated values
Corrected total energy (MP2020 scheme), eV per cell: -357.73
Distance to the lowest polymorph of the same formula, meV per atom: 124
VASP energy, Ry per atom: -0.62702
Calculated formation energy, kJ/mol of atoms: -318

(3)
# SrSmEuNbO6

A geometry-optimized SrSmEuNbO6 structure (PBE, the Materials Project).

a b c (Å): 5.8649 6.0135 8.3910
angles (deg): 90.26 90.54 90.03
With the nearest neighbours (Å) after each atom.
Space group P-1 (No. 2)
Inequivalent atoms, fractional coordinates:
Sr1 0.0108 0.0468 0.2503 (multiplicity 2)  4 O 2.50-2.63
Sm1 0.0000 0.5000 0.5000 (multiplicity 1)  6 O 2.32-2.34
Sm2 0.5000 0.0000 0.0000 (multiplicity 1)  6 O 2.32-2.33
Eu1 0.4870 0.5514 0.2507 (multiplicity 2)  4 O 2.46-2.55
Nb1 0.0000 0.5000 0.0000 (multiplicity 1)  6 O 2.04-2.05
Nb2 0.5000 0.0000 0.5000 (multiplicity 1)  6 O 2.03-2.06
O1 0.1038 0.5314 0.7687 (multiplicity 2)  1 Nb 2.05
O2 0.1840 0.7794 0.0547 (multiplicity 2)  1 Nb 2.04
O3 0.2207 0.8108 0.4490 (multiplicity 2)  1 Nb 2.03
O4 0.2804 0.3137 0.0542 (multiplicity 2)  1 Nb 2.04
O5 0.3196 0.2825 0.4441 (multiplicity 2)  1 Nb 2.06
O6 0.4055 0.0388 0.7319 (multiplicity 2)  1 Nb 2.04

Calculated values
Corrected total energy (MP2020 scheme), eV per cell: -181.35
Distance to the lowest polymorph of the same formula, meV per atom: 0
VASP energy, Ry per atom: -0.63615
Calculated formation energy, kJ/mol of atoms: -330

(4)
# SrSmEuNbO6

A geometry-optimized SrSmEuNbO6 structure (PBE, the Materials Project).

a b c (Å): 8.4778 8.4817 8.4845
angles (deg): 90.00 90.00 90.00
With the nearest neighbours (Å) after each atom.
Space group P222 (No. 16)
Inequivalent atoms, fractional coordinates:
Sr1 0.0000 0.0000 0.0000 (multiplicity 1)  4 O 2.51
Sr2 0.0000 0.0000 0.5000 (multiplicity 1)  4 O 2.50
Sr3 0.0000 0.5000 0.0000 (multiplicity 1)  4 O 2.51
Sr4 0.5000 0.5000 0.0000 (multiplicity 1)  4 O 2.50
Sm1 0.2502 0.2501 0.7499 (multiplicity 4)  6 O 2.31-2.32
Eu1 0.0000 0.5000 0.5000 (multiplicity 1)  12 O 2.99-3.00
Eu2 0.5000 0.0000 0.0000 (multiplicity 1)  12 O 2.98-2.99
Eu3 0.5000 0.0000 0.5000 (multiplicity 1)  4 O 2.48
Eu4 0.5000 0.5000 0.5000 (multiplicity 1)  4 O 2.48
Nb1 0.2506 0.2504 0.2501 (multiplicity 4)  6 O 2.04-2.05
O1 0.0172 0.2130 0.2965 (multiplicity 4)  1 Nb 2.04
O2 0.2039 0.4830 0.2132 (multiplicity 4)  1 Nb 2.04
O3 0.2135 0.2037 0.0172 (multiplicity 4)  1 Nb 2.04
O4 0.2893 0.2979 0.4835 (multiplicity 4)  1 Nb 2.05
O5 0.2981 0.0169 0.2891 (multiplicity 4)  1 Nb 2.05
O6 0.4834 0.2874 0.2040 (multiplicity 4)  1 Nb 2.04

Calculated values
Corrected total energy (MP2020 scheme), eV per cell: -360.71
Distance to the lowest polymorph of the same formula, meV per atom: 50
VASP energy, Ry per atom: -0.63249
Calculated formation energy, kJ/mol of atoms: -325

(5)
# SmEuTiNbO6

A geometry-optimized SmEuTiNbO6 structure (PBE, the Materials Project).

a b c (Å): 8.0023 8.0023 8.0023
angles (deg): 90.00 90.00 90.00
With the nearest neighbours (Å) after each atom.
Space group F-43m (No. 216)
Inequivalent atoms, fractional coordinates:
Sm1 0.0000 0.0000 0.0000 (multiplicity 4)  12 O 2.83
Eu1 0.0000 0.0000 0.5000 (multiplicity 4)  12 O 2.83
Ti1 0.2500 0.2500 0.2500 (multiplicity 4)  6 O 1.97
Nb1 0.2500 0.2500 0.7500 (multiplicity 4)  6 O 2.03
O1 0.0038 0.2500 0.2500 (multiplicity 24)  1 Ti 1.97, 1 Nb 2.03

Calculated values
Corrected total energy (MP2020 scheme), eV per cell: -380.71
VASP energy, Ry per atom: -0.66924
Calculated formation energy, kJ/mol of atoms: -314

(6)
# EuTiNbSnO6

A geometry-optimized EuTiNbSnO6 structure (PBE, the Materials Project).

a b c (Å): 8.0334 8.0334 8.0334
angles (deg): 90.00 90.00 90.00
With the nearest neighbours (Å) after each atom.
Space group F-43m (No. 216)
Inequivalent atoms, fractional coordinates:
Eu1 0.0000 0.0000 0.0000 (multiplicity 4)  12 O 2.84
Ti1 0.2500 0.2500 0.2500 (multiplicity 4)  6 O 1.99
Nb1 0.2500 0.2500 0.7500 (multiplicity 4)  6 O 2.03
Sn1 0.0000 0.0000 0.5000 (multiplicity 4)  12 O 2.84
O1 0.0027 0.2500 0.2500 (multiplicity 24)  1 Ti 1.99, 1 Nb 2.03

Calculated values
Corrected total energy (MP2020 scheme), eV per cell: -363.29
VASP energy, Ry per atom: -0.63723
Calculated formation energy, kJ/mol of atoms: -279